VASP calculation (PBE) on a relaxed AlSiRu2 crystal.

Geometry as POSCAR:
```
AlSiRu2
1.0
5.9279 0.0000 0.0000
0.0000 5.9279 0.0000
0.0000 0.0000 5.9279
Al Si Ru
4 4 8
Direct
0.0000 0.0000 0.0000
0.0000 0.5000 0.5000
0.5000 0.0000 0.5000
0.5000 0.5000 0.0000
0.0000 0.0000 0.5000
0.0000 0.5000 0.0000
0.5000 0.0000 0.0000
0.5000 0.5000 0.5000
0.2500 0.2500 0.2500
0.2500 0.2500 0.7500
0.2500 0.7500 0.2500
0.2500 0.7500 0.7500
0.7500 0.2500 0.2500
0.7500 0.2500 0.7500
0.7500 0.7500 0.2500
0.7500 0.7500 0.7500
```

space group	No. 225
energy relative to the elements	-714	meV/atom